The following is a DFT calculation (GGA-PBE) of crystalline MgC4S4N2O16F12 at its relaxed geometry.

Structure (CIF):
```
data_MgC4S4N2O16F12
_symmetry_space_group_name_H-M 'P 1 21/c 1'
_symmetry_Int_Tables_number 14
_cell_length_a 5.6914
_cell_length_b 15.0740
_cell_length_c 14.9352
_cell_angle_alpha 90.00
_cell_angle_beta 103.86
_cell_angle_gamma 90.00
loop_
_symmetry_equiv_pos_as_xyz
'x,y,z'
'-x,-y,-z'
'-x,y+1/2,-z+1/2'
'x,-y+1/2,z+1/2'
loop_
_atom_site_label
_atom_site_type_symbol
_atom_site_fract_x
_atom_site_fract_y
_atom_site_fract_z
Mg1 Mg 0.0000 0.0000 0.0000
C1 C 0.0896 0.0997 0.6570
C2 C 0.4182 0.1484 0.3982
S1 S 0.1436 0.2153 0.3419
S2 S 0.3599 0.1567 0.7321
N1 N 0.2506 0.1933 0.8142
O1 O 0.0217 0.1666 0.2608
O2 O 0.0253 0.2349 0.4148
O3 O 0.1808 0.0348 0.1249
O4 O 0.2352 0.6054 0.4681
O5 O 0.3697 0.0747 0.0068
O6 O 0.4249 0.2270 0.6769
O7 O 0.4408 0.6189 0.4449
O8 O 0.4717 0.5866 0.7317
F1 F 0.0179 0.0334 0.7045
F2 F 0.0908 0.6584 0.8700
F3 F 0.1537 0.0664 0.5824
F4 F 0.3462 0.0686 0.4223
F5 F 0.4379 0.6373 0.1601
F6 F 0.4615 0.6914 0.0254
```

Properties
Electronic total energy in eV/atom: -5.193
Formation enthalpy at 0 K in eV/atom: -0.877
E (MP2020) in eV per atom: -5.336

***

The following is a DFT calculation (GGA-PBE) of crystalline RbMgCO3F at its relaxed geometry.

Structure (CIF):
```
data_RbMgCO3F
_symmetry_space_group_name_H-M 'P -6 2 m'
_symmetry_Int_Tables_number 189
_symmetry_space_group_name_Hall 'P -6 -2'
_cell_length_a 9.1729
_cell_length_b 9.1729
_cell_length_c 4.0178
_cell_angle_alpha 90.00
_cell_angle_beta 90.00
_cell_angle_gamma 120.00
loop_
_atom_site_label
_atom_site_type_symbol
_atom_site_fract_x
_atom_site_fract_y
_atom_site_fract_z
Rb1 Rb 0.0000 0.3825 0.0000
Mg1 Mg 0.0000 0.7188 0.5000
C1 C 0.0000 0.0000 0.5000
C2 C 0.3333 0.6667 0.5000
O1 O 0.0000 0.1415 0.5000
O2 O 0.2010 0.6833 0.5000
F1 F 0.0000 0.7211 0.0000
```

Properties
Electronic total energy in eV/atom: -6.334
Formation enthalpy at 0 K in eV/atom: -2.613
E (MP2020) in eV per atom: -6.694

***

The following is a DFT calculation (GGA-PBE) of crystalline MgC2S2O2F2 at its relaxed geometry.

Structure (CIF):
```
data_MgC2S2O2F2
_symmetry_space_group_name_H-M 'P -1'
_symmetry_Int_Tables_number 2
_cell_length_a 4.3431
_cell_length_b 4.6049
_cell_length_c 10.0622
_cell_angle_alpha 82.35
_cell_angle_beta 82.14
_cell_angle_gamma 66.51
loop_
_symmetry_equiv_pos_as_xyz
'x,y,z'
'-x,-y,-z'
loop_
_atom_site_label
_atom_site_type_symbol
_atom_site_fract_x
_atom_site_fract_y
_atom_site_fract_z
Mg1 Mg 0.0000 0.0000 0.0000
C1 C 0.2008 0.2378 0.3233
S1 S 0.2971 0.2532 0.1482
O1 O 0.1981 0.6145 0.1067
F1 F 0.2710 0.9346 0.3708
```

Properties
Electronic total energy in eV/atom: -5.012
Formation enthalpy at 0 K in eV/atom: -0.594
E (MP2020) in eV per atom: -5.267

***

The following is a DFT calculation (GGA-PBE) of crystalline MgC2S2O2F6 at its relaxed geometry.

Structure (CIF):
```
data_MgC2S2O2F6
_symmetry_space_group_name_H-M 'P -1'
_symmetry_Int_Tables_number 2
_cell_length_a 4.6089
_cell_length_b 4.6901
_cell_length_c 20.3445
_cell_angle_alpha 90.12
_cell_angle_beta 96.18
_cell_angle_gamma 115.42
loop_
_symmetry_equiv_pos_as_xyz
'x,y,z'
'-x,-y,-z'
loop_
_atom_site_label
_atom_site_type_symbol
_atom_site_fract_x
_atom_site_fract_y
_atom_site_fract_z
Mg1 Mg 0.0000 0.0000 0.0000
Mg2 Mg 0.5000 0.0000 0.5000
C1 C 0.0961 0.1997 0.3430
C2 C 0.3537 0.7534 0.1563
S1 S 0.1272 0.2549 0.4345
S2 S 0.2932 0.6711 0.0650
O1 O 0.3381 0.6198 0.4454
O2 O 0.3498 0.2168 0.9502
F1 F 0.0364 0.4292 0.3136
F2 F 0.0793 0.7460 0.1755
F3 F 0.1484 0.0852 0.6763
F4 F 0.3721 0.2112 0.3228
F5 F 0.3983 0.9591 0.8271
F6 F 0.4243 0.5367 0.1893
```

Properties
Electronic total energy in eV/atom: -5.153
Formation enthalpy at 0 K in eV/atom: -1.648
E (MP2020) in eV per atom: -5.472

***

The following is a DFT calculation (GGA-PBE) of crystalline NaC2S2NO4F6 at its relaxed geometry.

Structure (CIF):
```
data_NaC2S2NO4F6
_symmetry_space_group_name_H-M 'P 1 21/c 1'
_symmetry_Int_Tables_number 14
_cell_length_a 7.7664
_cell_length_b 10.7817
_cell_length_c 23.7424
_cell_angle_alpha 90.00
_cell_angle_beta 108.15
_cell_angle_gamma 90.00
loop_
_symmetry_equiv_pos_as_xyz
'x,y,z'
'-x,-y,-z'
'-x,y+1/2,-z+1/2'
'x,-y+1/2,z+1/2'
loop_
_atom_site_label
_atom_site_type_symbol
_atom_site_fract_x
_atom_site_fract_y
_atom_site_fract_z
Na1 Na 0.0713 0.0988 0.2431
Na2 Na 0.4274 0.6877 0.2563
C1 C 0.1887 0.0248 0.5906
C2 C 0.2145 0.5071 0.5847
C3 C 0.2821 0.7025 0.9159
C4 C 0.3195 0.1864 0.9128
S1 S 0.1429 0.6590 0.8382
S2 S 0.2135 0.0822 0.6676
S3 S 0.2894 0.1316 0.8349
S4 S 0.3565 0.5534 0.6617
N1 N 0.0585 0.1823 0.6615
N2 N 0.4433 0.0312 0.8398
O1 O 0.1179 0.0672 0.8179
O2 O 0.1861 0.7440 0.3018
O3 O 0.1918 0.5327 0.8291
O4 O 0.1985 0.5295 0.2004
O5 O 0.3035 0.2440 0.8025
O6 O 0.3060 0.6797 0.6703
O7 O 0.3165 0.0429 0.1991
O8 O 0.3846 0.1471 0.6851
F1 F 0.0382 0.5089 0.5814
F2 F 0.0422 0.5494 0.0716
F3 F 0.1708 0.1212 0.5530
F4 F 0.1716 0.2488 0.4133
F5 F 0.2414 0.5875 0.5448
F6 F 0.2407 0.6815 0.4283
F7 F 0.2487 0.6226 0.9550
F8 F 0.2591 0.1082 0.0723
F9 F 0.3377 0.5407 0.0919
F10 F 0.3404 0.0885 0.9497
F11 F 0.4592 0.6975 0.9205
F12 F 0.4663 0.2395 0.4314
```

Properties
Electronic total energy in eV/atom: -5.511
Formation enthalpy at 0 K in eV/atom: -1.627
E (MP2020) in eV per atom: -5.856

***

The following is a DFT calculation (GGA-PBE) of crystalline Na2Sb5C2S2N2O3F9 at its relaxed geometry.

Structure (CIF):
```
data_Na2Sb5C2S2N2O3F9
_symmetry_space_group_name_H-M 'P -1'
_symmetry_Int_Tables_number 2
_cell_length_a 7.1504
_cell_length_b 9.5528
_cell_length_c 13.6660
_cell_angle_alpha 74.10
_cell_angle_beta 77.40
_cell_angle_gamma 82.86
loop_
_symmetry_equiv_pos_as_xyz
'x,y,z'
'-x,-y,-z'
loop_
_atom_site_label
_atom_site_type_symbol
_atom_site_fract_x
_atom_site_fract_y
_atom_site_fract_z
Na1 Na 0.1217 0.2957 0.0404
Na2 Na 0.3354 0.8571 0.0857
Sb1 Sb 0.0407 0.4275 0.7636
Sb2 Sb 0.2360 0.0801 0.2982
Sb3 Sb 0.2959 0.0427 0.7751
Sb4 Sb 0.4386 0.6431 0.8856
Sb5 Sb 0.4519 0.6584 0.3580
C1 C 0.0420 0.2889 0.5442
C2 C 0.2566 0.7346 0.6281
S1 S 0.2464 0.9081 0.5774
S2 S 0.2478 0.2979 0.4653
N1 N 0.1049 0.7204 0.3937
N2 N 0.2680 0.6053 0.6647
O1 O 0.2723 0.2954 0.7290
O2 O 0.4458 0.8790 0.3079
O3 O 0.4989 0.8582 0.7739
F1 F 0.0407 0.7602 0.1259
F2 F 0.1302 0.4710 0.8808
F3 F 0.1611 0.2877 0.2126
F4 F 0.1815 0.0275 0.1746
F5 F 0.1894 0.7693 0.9025
F6 F 0.3039 0.5260 0.0335
F7 F 0.3599 0.0506 0.9102
F8 F 0.3879 0.6428 0.2275
F9 F 0.4627 0.2591 0.0253
```

Properties
Electronic total energy in eV/atom: -5.498
Formation enthalpy at 0 K in eV/atom: -1.836
E (MP2020) in eV per atom: -5.787

***

The following is a DFT calculation (GGA-PBE) of crystalline ZrPCNO3F3 at its relaxed geometry.

Structure (CIF):
```
data_ZrPCNO3F3
_symmetry_space_group_name_H-M 'P -1'
_symmetry_Int_Tables_number 2
_cell_length_a 5.4743
_cell_length_b 6.5047
_cell_length_c 10.9026
_cell_angle_alpha 89.25
_cell_angle_beta 76.42
_cell_angle_gamma 86.97
loop_
_symmetry_equiv_pos_as_xyz
'x,y,z'
'-x,-y,-z'
loop_
_atom_site_label
_atom_site_type_symbol
_atom_site_fract_x
_atom_site_fract_y
_atom_site_fract_z
Zr1 Zr 0.0000 0.0000 0.0000
Zr2 Zr 0.5000 0.0000 0.5000
P1 P 0.0885 0.8283 0.3065
C1 C 0.1767 0.5742 0.2544
N1 N 0.2389 0.4083 0.2160
O1 O 0.0671 0.9596 0.1923
O2 O 0.1680 0.1754 0.5997
O3 O 0.2899 0.8975 0.3703
F1 F 0.2003 0.7370 0.9490
F2 F 0.3102 0.1579 0.9354
F3 F 0.3945 0.7602 0.6080
```

Properties
Electronic total energy in eV/atom: -7.056
Formation enthalpy at 0 K in eV/atom: -2.190
E (MP2020) in eV per atom: -7.401

***

The following is a DFT calculation (GGA-PBE) of crystalline PbC3S2NO4F2 at its relaxed geometry.

Structure (CIF):
```
data_PbC3S2NO4F2
_symmetry_space_group_name_H-M 'P -1'
_symmetry_Int_Tables_number 2
_cell_length_a 7.4575
_cell_length_b 7.7669
_cell_length_c 10.4011
_cell_angle_alpha 95.60
_cell_angle_beta 105.14
_cell_angle_gamma 102.04
loop_
_symmetry_equiv_pos_as_xyz
'x,y,z'
'-x,-y,-z'
loop_
_atom_site_label
_atom_site_type_symbol
_atom_site_fract_x
_atom_site_fract_y
_atom_site_fract_z
Pb1 Pb 0.0916 0.2286 0.2989
C1 C 0.0226 0.9470 0.1901
C2 C 0.1645 0.3010 0.5276
C3 C 0.1659 0.4797 0.2063
S1 S 0.3725 0.7317 0.8919
S2 S 0.3880 0.8503 0.6481
N1 N 0.2669 0.7818 0.7472
O1 O 0.2442 0.7312 0.9728
O2 O 0.2581 0.8712 0.5255
O3 O 0.4280 0.1817 0.0579
O4 O 0.4651 0.2428 0.3589
F1 F 0.3640 0.5255 0.8479
F2 F 0.4962 0.9528 0.2780
```

Properties
Electronic total energy in eV/atom: -4.770
Formation enthalpy at 0 K in eV/atom: 0.458
E (MP2020) in eV per atom: -5.052

***

Please write out number 1 again, unchanged.
The following is a DFT calculation (GGA-PBE) of crystalline MgC4S4N2O16F12 at its relaxed geometry.

Structure (CIF):
```
data_MgC4S4N2O16F12
_symmetry_space_group_name_H-M 'P 1 21/c 1'
_symmetry_Int_Tables_number 14
_cell_length_a 5.6914
_cell_length_b 15.0740
_cell_length_c 14.9352
_cell_angle_alpha 90.00
_cell_angle_beta 103.86
_cell_angle_gamma 90.00
loop_
_symmetry_equiv_pos_as_xyz
'x,y,z'
'-x,-y,-z'
'-x,y+1/2,-z+1/2'
'x,-y+1/2,z+1/2'
loop_
_atom_site_label
_atom_site_type_symbol
_atom_site_fract_x
_atom_site_fract_y
_atom_site_fract_z
Mg1 Mg 0.0000 0.0000 0.0000
C1 C 0.0896 0.0997 0.6570
C2 C 0.4182 0.1484 0.3982
S1 S 0.1436 0.2153 0.3419
S2 S 0.3599 0.1567 0.7321
N1 N 0.2506 0.1933 0.8142
O1 O 0.0217 0.1666 0.2608
O2 O 0.0253 0.2349 0.4148
O3 O 0.1808 0.0348 0.1249
O4 O 0.2352 0.6054 0.4681
O5 O 0.3697 0.0747 0.0068
O6 O 0.4249 0.2270 0.6769
O7 O 0.4408 0.6189 0.4449
O8 O 0.4717 0.5866 0.7317
F1 F 0.0179 0.0334 0.7045
F2 F 0.0908 0.6584 0.8700
F3 F 0.1537 0.0664 0.5824
F4 F 0.3462 0.0686 0.4223
F5 F 0.4379 0.6373 0.1601
F6 F 0.4615 0.6914 0.0254
```

Properties
Electronic total energy in eV/atom: -5.193
Formation enthalpy at 0 K in eV/atom: -0.877
E (MP2020) in eV per atom: -5.336